U4CuTe12: relaxed, PBE-GGA.

Space group ... Cm
Calculated total energy ... -95.63 eV/cell
V ... 534.3 Å³ per cell

Cell: 7.4109 7.4109 11.2992 Å, 71.18 71.18 69.40°
Last column: nearest neighbours and their distance in Å.
Fractional coordinates of all 17 atoms:
Te: 0.0229 0.0229 0.9397  4 U 3.12-3.26
Te: 0.7542 0.7542 0.3313  1 Cu 2.67
Te: 0.5235 0.5235 0.9377  4 U 3.11-3.20
Te: 0.9953 0.4875 0.6727  1 Cu 2.59
Te: 0.2441 0.7415 0.6685  2 Te 3.05, 2 U 3.11-3.14
Te: 0.4782 0.9785 0.0606  4 U 3.11-3.22
Te: 0.4875 0.9953 0.6727  1 Cu 2.59
Te: 0.9785 0.4782 0.0606  4 U 3.11-3.22
Te: 0.2579 0.2579 0.3347  2 Te 2.94-3.08, 2 U 3.14
Te: 0.5009 0.5009 0.3296  2 Te 2.94-3.09, 2 U 3.12
Te: 0.7415 0.2441 0.6685  2 Te 3.05, 2 U 3.11-3.14
Te: 0.0091 0.0091 0.3248  1 Cu 2.62
U: 0.8084 0.8084 0.8394  8 Te 3.12-3.23, 1 Cu 3.42
U: 0.6900 0.1931 0.1593  8 Te 3.11-3.22
U: 0.3124 0.3124 0.8406  8 Te 3.11-3.26
U: 0.1931 0.6900 0.1593  8 Te 3.11-3.22
Cu: 0.8140 0.8140 0.5344  4 Te 2.59-2.67

---

MgAg2: relaxed, PBE-GGA.

Space group ... C2/m
Calculated total energy ... -15.58 eV/cell
V ... 110.1 Å³ per cell

Cell: 5.5175 5.5175 7.1110 Å, 72.12 72.12 32.46°
Last column: nearest neighbours and their distance in Å.
Fractional coordinates of all 6 atoms:
Ag: 0.8530 0.8530 0.5435  4 Mg 2.87-2.90, 8 Ag 2.90-3.16
Ag: 0.1799 0.1799 0.8823  5 Mg 2.89-3.01, 7 Ag 2.95-3.16
Ag: 0.1470 0.1470 0.4565  4 Mg 2.87-2.90, 8 Ag 2.90-3.16
Ag: 0.8201 0.8201 0.1177  5 Mg 2.89-3.01, 7 Ag 2.95-3.16
Mg: 0.5217 0.5217 0.2196  9 Ag 2.87-3.01, 2 Mg 3.08
Mg: 0.4783 0.4783 0.7804  9 Ag 2.87-3.01, 2 Mg 3.08

---

K3Ti8O17: relaxed, PBE-GGA.

Space group ... P-1
Calculated total energy ... -463.04 eV/cell
V ... 737.4 Å³ per cell

Cell: 7.6491 8.1520 12.2203 Å, 95.16 90.01 103.61°
Last column: nearest neighbours and their distance in Å.
Fractional coordinates of all 56 atoms:
Ti: 0.0554 0.2236 0.0699  5 O 1.89-2.11
Ti: 0.4247 0.6966 0.6755  3 O 1.77-1.98
Ti: 0.9027 0.6055 0.4222  4 O 1.80-1.98
Ti: 0.4436 0.7765 0.9299  5 O 1.89-2.11
Ti: 0.6001 0.3946 0.5775  4 O 1.81-1.98
Ti: 0.6211 0.4847 0.8302  3 O 1.78-1.98
Ti: 0.5753 0.3034 0.3245  3 O 1.77-1.98
Ti: 0.9446 0.7764 0.9301  5 O 1.89-2.11
Ti: 0.8787 0.5150 0.1698  3 O 1.78-1.98
Ti: 0.0765 0.3027 0.3247  3 O 1.77-1.98
Ti: 0.3999 0.6054 0.4225  4 O 1.81-1.98
Ti: 0.3789 0.5153 0.1698  3 O 1.78-1.98
Ti: 0.9235 0.6973 0.6753  3 O 1.77-1.98
Ti: 0.1213 0.4850 0.8302  3 O 1.78-1.98
Ti: 0.5564 0.2235 0.0701  5 O 1.89-2.11
Ti: 0.0973 0.3945 0.5778  4 O 1.80-1.98
O: 0.8188 0.2740 0.0880  3 Ti 1.96-2.07
O: 0.6814 0.7268 0.9117  3 Ti 1.96-2.08
O: 0.8425 0.3698 0.3252  3 Ti 1.99-2.12
O: 0.0533 0.2146 0.4634  2 Ti 1.89-1.90
O: 0.8852 0.5408 0.8144  3 Ti 1.98-2.19
O: 0.1148 0.4592 0.1856  3 Ti 1.98-2.19
O: 0.9467 0.7854 0.5366  2 Ti 1.89-1.90
O: 0.4457 0.7847 0.5367  2 Ti 1.89-1.90
O: 0.6142 0.4584 0.1851  3 Ti 1.97-2.19
O: 0.1812 0.7260 0.9120  3 Ti 1.96-2.07
O: 0.5000 0.0000 0.0000  2 Ti 1.89
O: 0.9144 0.6560 0.0646  2 Ti 1.78-1.97
O: 0.9711 0.8744 0.7752  1 Ti 1.77
O: 0.0856 0.3440 0.9354  2 Ti 1.78-1.97
O: 0.1575 0.6302 0.6748  3 Ti 1.99-2.12
O: 0.5718 0.2998 0.7063  2 Ti 1.81-2.01
O: 0.4282 0.7002 0.2937  2 Ti 1.81-2.01
O: 0.6379 0.5510 0.4335  2 Ti 1.98
O: 0.5858 0.3440 0.9354  2 Ti 1.78-1.98
O: 0.0289 0.1256 0.2248  1 Ti 1.77
O: 0.3423 0.3697 0.3248  3 Ti 1.98-2.12
O: 0.4663 0.8740 0.7751  1 Ti 1.77
O: 0.8624 0.4502 0.5673  2 Ti 1.96
O: 0.0781 0.2994 0.7063  2 Ti 1.80-2.01
O: 0.1376 0.5498 0.4327  2 Ti 1.96
O: 0.3858 0.5416 0.8149  3 Ti 1.97-2.19
O: 0.4142 0.6560 0.0646  2 Ti 1.78-1.98
O: 0.6577 0.6303 0.6752  3 Ti 1.98-2.12
O: 0.0000 0.0000 0.0000  2 Ti 1.89
O: 0.5543 0.2153 0.4633  2 Ti 1.89-1.90
O: 0.5337 0.1260 0.2249  1 Ti 1.77
O: 0.3186 0.2732 0.0883  3 Ti 1.96-2.08
O: 0.9219 0.7006 0.2937  2 Ti 1.80-2.01
O: 0.3621 0.4490 0.5665  2 Ti 1.98
K: 0.7781 0.1130 0.8243  6 O 2.73-2.90
K: 0.7449 0.9798 0.4604  4 O 2.66-2.68
K: 0.7211 0.8846 0.1672  8 O 2.73-3.00
K: 0.2551 0.0202 0.5396  4 O 2.66-2.68
K: 0.2219 0.8870 0.1757  6 O 2.73-2.90
K: 0.2789 0.1154 0.8328  8 O 2.73-3.00

---

Li2Ti2P3O12: relaxed, PBE-GGA.

Space group ... Pbcn
Calculated total energy ... -573.76 eV/cell
V ... 925.4 Å³ per cell

Cell: 8.6804 8.7677 12.1597 Å, 90.00 90.00 90.00°
Last column: nearest neighbours and their distance in Å.
Fractional coordinates of all 76 atoms:
O: 0.1730 0.9868 0.7278  1 P 1.55
O: 0.6629 0.2681 0.8223  1 P 1.55
O: 0.1465 0.1627 0.9197  1 P 1.55
O: 0.1465 0.3373 0.0803  1 P 1.55
O: 0.9269 0.1048 0.6559  1 P 1.54
O: 0.8371 0.7681 0.6777  1 P 1.55
O: 0.5589 0.8593 0.5694  1 P 1.54
O: 0.3440 0.9386 0.0304  1 P 1.54
O: 0.8535 0.8373 0.0803  1 P 1.55
O: 0.8270 0.0132 0.2722  1 P 1.55
O: 0.4269 0.3952 0.1559  1 P 1.54
O: 0.4411 0.3593 0.5694  1 P 1.54
O: 0.4411 0.1407 0.4306  1 P 1.54
O: 0.1560 0.0614 0.5304  1 P 1.54
O: 0.3535 0.6627 0.5803  1 P 1.55
O: 0.5731 0.8952 0.1559  1 P 1.54
O: 0.1629 0.2319 0.3223  1 P 1.55
O: 0.3270 0.0132 0.2278  1 P 1.55
O: 0.6465 0.3373 0.4197  1 P 1.55
O: 0.3440 0.5614 0.9696  1 P 1.54
O: 0.6730 0.9868 0.7722  1 P 1.55
O: 0.8371 0.7319 0.3223  1 P 1.55
O: 0.3371 0.7681 0.8223  1 P 1.55
O: 0.9269 0.3952 0.3441  1 P 1.54
O: 0.5731 0.6048 0.8441  1 P 1.54
O: 0.1730 0.5132 0.2722  1 P 1.55
O: 0.0731 0.8952 0.3441  1 P 1.54
O: 0.5589 0.6407 0.4306  1 P 1.54
O: 0.6560 0.0614 0.9696  1 P 1.54
O: 0.4269 0.1048 0.8441  1 P 1.54
O: 0.0589 0.6407 0.0694  1 P 1.54
O: 0.9411 0.1407 0.0694  1 P 1.54
O: 0.3371 0.7319 0.1777  1 P 1.55
O: 0.1560 0.4386 0.4696  1 P 1.54
O: 0.6629 0.2319 0.1777  1 P 1.55
O: 0.6560 0.4386 0.0304  1 P 1.54
O: 0.9411 0.3593 0.9306  1 P 1.54
O: 0.8535 0.6627 0.9197  1 P 1.55
O: 0.8270 0.4868 0.7278  1 P 1.55
O: 0.3270 0.4868 0.7722  1 P 1.55
O: 0.3535 0.8373 0.4197  1 P 1.55
O: 0.6465 0.1627 0.5803  1 P 1.55
O: 0.0589 0.8593 0.9306  1 P 1.54
O: 0.6730 0.5132 0.2278  1 P 1.55
O: 0.1629 0.2681 0.6777  1 P 1.55
O: 0.8440 0.9386 0.4696  1 P 1.54
O: 0.8440 0.5614 0.5304  1 P 1.54
O: 0.0731 0.6048 0.6559  1 P 1.54
Ti: 0.2526 0.4616 0.6119  6 O 1.93-2.07
Ti: 0.7526 0.4616 0.8881  6 O 1.93-2.07
Ti: 0.2526 0.0384 0.3881  6 O 1.93-2.07
Ti: 0.7474 0.5384 0.3881  6 O 1.93-2.07
Ti: 0.2474 0.9616 0.8881  6 O 1.93-2.07
Ti: 0.7474 0.9616 0.6119  6 O 1.93-2.07
Ti: 0.2474 0.5384 0.1119  6 O 1.93-2.07
Ti: 0.7526 0.0384 0.1119  6 O 1.93-2.07
Li: 0.2143 0.7201 0.3188  4 O 1.93-2.02
Li: 0.2857 0.2799 0.8188  4 O 1.93-2.02
Li: 0.2857 0.2201 0.1812  4 O 1.93-2.02
Li: 0.7857 0.2201 0.3188  4 O 1.93-2.02
Li: 0.2143 0.7799 0.6812  4 O 1.93-2.02
Li: 0.7143 0.7201 0.1812  4 O 1.93-2.02
Li: 0.7143 0.7799 0.8188  4 O 1.93-2.02
Li: 0.7857 0.2799 0.6812  4 O 1.93-2.02
P: 0.3955 0.6060 0.8526  4 O 1.54-1.55
P: 0.6045 0.1060 0.8526  4 O 1.54-1.55
P: 0.1045 0.3940 0.3526  4 O 1.54-1.55
P: 0.3955 0.8940 0.1474  4 O 1.54-1.55
P: 0.4606 0.7500 0.5000  4 O 1.54-1.55
P: 0.9606 0.7500 0.0000  4 O 1.54-1.55
P: 0.8955 0.6060 0.6474  4 O 1.54-1.55
P: 0.0394 0.2500 0.0000  4 O 1.54-1.55
P: 0.5394 0.2500 0.5000  4 O 1.54-1.55
P: 0.6045 0.3940 0.1474  4 O 1.54-1.55
P: 0.8955 0.8940 0.3526  4 O 1.54-1.55
P: 0.1045 0.1060 0.6474  4 O 1.54-1.55

---

Question: Which of these has the lowest V?
Answer: MgAg2

---

Question: Which of these has the highest V?
Answer: Li2Ti2P3O12

---

Question: Which value of calculated total energy does entry 3 give?
Answer: -463.04 eV/cell